Dy4Ga16Co3 | r²SCAN | relaxed

Structure (CIF):
```
data_Dy4Ga16Co3
_cell_length_a 5.964
_cell_length_b 5.964
_cell_length_c 10.981
_cell_angle_alpha 90.00
_cell_angle_beta 90.00
_cell_angle_gamma 90.00
_space_group_name_H-M_alt 'P 4/m m m'
_space_group_IT_number 123
_space_group_name_Hall '-P 4 2'
loop_
_atom_site_label
_atom_site_type_symbol
_atom_site_fract_x
_atom_site_fract_y
_atom_site_fract_z
Dy1 Dy 0.000 0.500 0.195
Ga1 Ga 0.000 0.000 0.195
Ga2 Ga 0.219 0.219 0.000
Ga3 Ga 0.251 0.251 0.385
Ga4 Ga 0.500 0.500 0.219
Co1 Co 0.000 0.500 0.500
Co2 Co 0.500 0.500 0.000
```

electronic total energy	-15.777	eV/atom
total moment	0.000	μB per formula unit
ΔE_f	-0.53	eV/atom